(1)
Density functional theory data (r²SCAN) for an optimized crystal structure of DySi2Ir2.

abc: 4.065 4.065 9.908
angles: 90.00 90.00 90.00
Element x y z (fractional)
Dy 0.000 0.000 0.000
Dy 0.500 0.500 0.500
Si 0.000 0.000 0.378
Si 0.000 0.000 0.622
Si 0.500 0.500 0.122
Si 0.500 0.500 0.878
Ir 0.000 0.500 0.250
Ir 0.000 0.500 0.750
Ir 0.500 0.000 0.250
Ir 0.500 0.000 0.750

Computed properties:
Space-group type ... I4/mmm, No. 139
Energy of formation ... -1.190 eV per atom


(2)
Density functional theory data (r²SCAN) for an optimized crystal structure of CeSi3Rh.

abc: 4.221 4.221 9.828
angles: 90.00 90.00 90.00
Element x y z (fractional)
Ce 0.000 0.000 0.000
Ce 0.500 0.500 0.500
Si 0.000 0.000 0.416
Si 0.000 0.500 0.266
Si 0.000 0.500 0.766
Si 0.500 0.000 0.266
Si 0.500 0.000 0.766
Si 0.500 0.500 0.916
Rh 0.000 0.000 0.657
Rh 0.500 0.500 0.157

Computed properties:
Space-group type ... I4mm, No. 107
Energy of formation ... -0.855 eV per atom


(3)
Density functional theory data (r²SCAN) for an optimized crystal structure of Nd3Ga.

abc: 4.843 4.843 4.843
angles: 90.00 90.00 90.00
Element x y z (fractional)
Nd 0.000 0.000 0.500
Nd 0.000 0.500 0.000
Nd 0.500 0.000 0.000
Ga 0.500 0.500 0.500

Computed properties:
Space-group type ... Pm-3m, No. 221
Energy of formation ... -0.294 eV per atom


(4)
Density functional theory data (r²SCAN) for an optimized crystal structure of NbP4Se3Cl5.

abc: 12.217 18.865 13.214
angles: 90.00 90.00 90.00
Element x y z (fractional)
Nb 0.164 0.239 0.073
Nb 0.164 0.261 0.573
Nb 0.336 0.739 0.073
Nb 0.336 0.761 0.573
Nb 0.664 0.239 0.427
Nb 0.664 0.261 0.927
Nb 0.836 0.739 0.427
Nb 0.836 0.761 0.927
P 0.017 0.100 0.308
P 0.017 0.400 0.808
P 0.078 0.572 0.331
P 0.078 0.928 0.831
P 0.092 0.109 0.156
P 0.092 0.391 0.656
P 0.105 0.563 0.720
P 0.105 0.937 0.220
P 0.395 0.063 0.720
P 0.395 0.437 0.220
P 0.408 0.609 0.156
P 0.408 0.891 0.656
P 0.422 0.072 0.331
P 0.422 0.428 0.831
P 0.483 0.600 0.308
P 0.483 0.900 0.808
P 0.517 0.100 0.192
P 0.517 0.400 0.692
P 0.578 0.572 0.169
P 0.578 0.928 0.669
P 0.592 0.109 0.344
P 0.592 0.391 0.844
P 0.605 0.563 0.780
P 0.605 0.937 0.280
P 0.895 0.063 0.780
P 0.895 0.437 0.280
P 0.908 0.609 0.344
P 0.908 0.891 0.844
P 0.922 0.072 0.169
P 0.922 0.428 0.669
P 0.983 0.600 0.192
P 0.983 0.900 0.692
Se 0.062 0.046 0.849
Se 0.062 0.454 0.349
Se 0.084 0.503 0.866
Se 0.084 0.997 0.366
Se 0.203 0.016 0.131
Se 0.203 0.484 0.631
Se 0.297 0.516 0.131
Se 0.297 0.984 0.631
Se 0.416 0.003 0.866
Se 0.416 0.497 0.366
Se 0.438 0.546 0.849
Se 0.438 0.954 0.349
Se 0.562 0.046 0.651
Se 0.562 0.454 0.151
Se 0.584 0.503 0.634
Se 0.584 0.997 0.134
Se 0.703 0.016 0.369
Se 0.703 0.484 0.869
Se 0.797 0.516 0.369
Se 0.797 0.984 0.869
Se 0.916 0.003 0.634
Se 0.916 0.497 0.134
Se 0.938 0.546 0.651
Se 0.938 0.954 0.151
Cl 0.021 0.219 0.675
Cl 0.021 0.281 0.175
Cl 0.033 0.215 0.948
Cl 0.033 0.285 0.448
Cl 0.213 0.663 0.988
Cl 0.213 0.837 0.488
Cl 0.225 0.155 0.511
Cl 0.225 0.345 0.011
Cl 0.225 0.734 0.217
Cl 0.225 0.766 0.717
Cl 0.275 0.234 0.217
Cl 0.275 0.266 0.717
Cl 0.275 0.655 0.511
Cl 0.275 0.845 0.011
Cl 0.287 0.163 0.988
Cl 0.287 0.337 0.488
Cl 0.467 0.715 0.948
Cl 0.467 0.785 0.448
Cl 0.479 0.719 0.675
Cl 0.479 0.781 0.175
Cl 0.521 0.219 0.825
Cl 0.521 0.281 0.325
Cl 0.533 0.215 0.552
Cl 0.533 0.285 0.052
Cl 0.713 0.663 0.512
Cl 0.713 0.837 0.012
Cl 0.725 0.155 0.989
Cl 0.725 0.345 0.489
Cl 0.725 0.734 0.283
Cl 0.725 0.766 0.783
Cl 0.775 0.234 0.283
Cl 0.775 0.266 0.783
Cl 0.775 0.655 0.989
Cl 0.775 0.845 0.489
Cl 0.787 0.163 0.512
Cl 0.787 0.337 0.012
Cl 0.967 0.715 0.552
Cl 0.967 0.785 0.052
Cl 0.979 0.719 0.825
Cl 0.979 0.781 0.325

Computed properties:
Space-group type ... Pbca, No. 61
Energy of formation ... -0.672 eV per atom


(5)
Density functional theory data (r²SCAN) for an optimized crystal structure of LaGe2Pd2.

abc: 4.390 4.390 10.104
angles: 90.00 90.00 90.00
Element x y z (fractional)
La 0.000 0.000 0.000
La 0.500 0.500 0.500
Ge 0.000 0.000 0.376
Ge 0.000 0.000 0.624
Ge 0.500 0.500 0.124
Ge 0.500 0.500 0.876
Pd 0.000 0.500 0.250
Pd 0.000 0.500 0.750
Pd 0.500 0.000 0.250
Pd 0.500 0.000 0.750

Computed properties:
Space-group type ... I4/mmm, No. 139
Energy of formation ... -0.893 eV per atom


(6)
Density functional theory data (r²SCAN) for an optimized crystal structure of EuZn2Si2.

abc: 4.241 4.241 10.146
angles: 90.00 90.00 90.00
Element x y z (fractional)
Eu 0.000 0.000 0.000
Eu 0.500 0.500 0.500
Zn 0.000 0.500 0.250
Zn 0.000 0.500 0.750
Zn 0.500 0.000 0.250
Zn 0.500 0.000 0.750
Si 0.000 0.000 0.384
Si 0.000 0.000 0.616
Si 0.500 0.500 0.116
Si 0.500 0.500 0.884

Computed properties:
Space-group type ... I4/mmm, No. 139
Energy of formation ... -0.409 eV per atom


(7)
Density functional theory data (r²SCAN) for an optimized crystal structure of NdGa2Ni.

abc: 4.171 17.398 4.154
angles: 90.00 90.00 90.00
Element x y z (fractional)
Nd 0.000 0.142 0.000
Nd 0.000 0.858 0.000
Nd 0.500 0.358 0.000
Nd 0.500 0.642 0.000
Ga 0.000 0.000 0.500
Ga 0.000 0.291 0.500
Ga 0.000 0.500 0.000
Ga 0.000 0.709 0.500
Ga 0.500 0.000 0.000
Ga 0.500 0.209 0.500
Ga 0.500 0.500 0.500
Ga 0.500 0.791 0.500
Ni 0.000 0.427 0.500
Ni 0.000 0.573 0.500
Ni 0.500 0.073 0.500
Ni 0.500 0.927 0.500

Computed properties:
Space-group type ... Cmmm, No. 65
Energy of formation ... -0.688 eV per atom


(8)
Density functional theory data (r²SCAN) for an optimized crystal structure of ZrSi2Ni2.

abc: 3.750 3.750 9.646
angles: 90.00 90.00 90.00
Element x y z (fractional)
Zr 0.000 0.000 0.000
Zr 0.500 0.500 0.500
Si 0.000 0.000 0.380
Si 0.000 0.000 0.620
Si 0.500 0.500 0.120
Si 0.500 0.500 0.880
Ni 0.000 0.500 0.250
Ni 0.000 0.500 0.750
Ni 0.500 0.000 0.250
Ni 0.500 0.000 0.750

Computed properties:
Space-group type ... I4/mmm, No. 139
Energy of formation ... -0.843 eV per atom


(9)
Density functional theory data (r²SCAN) for an optimized crystal structure of CeCu2Sn2.

abc: 4.468 4.468 10.572
angles: 90.00 90.00 90.00
Element x y z (fractional)
Ce 0.250 0.250 0.239
Ce 0.750 0.750 0.761
Cu 0.250 0.250 0.635
Cu 0.250 0.750 0.000
Cu 0.750 0.250 0.000
Cu 0.750 0.750 0.365
Sn 0.250 0.250 0.874
Sn 0.250 0.750 0.500
Sn 0.750 0.250 0.500
Sn 0.750 0.750 0.126

Computed properties:
Space-group type ... P4/nmm, No. 129
Energy of formation ... -0.444 eV per atom


(10)
Density functional theory data (r²SCAN) for an optimized crystal structure of Sm2Si3Pd.

abc: 4.026 4.213 14.306
angles: 90.00 90.00 90.00
Element x y z (fractional)
Sm 0.000 0.000 0.000
Sm 0.000 0.500 0.258
Sm 0.500 0.000 0.758
Sm 0.500 0.500 0.500
Si 0.000 0.000 0.425
Si 0.000 0.000 0.589
Si 0.000 0.500 0.835
Si 0.500 0.000 0.335
Si 0.500 0.500 0.089
Si 0.500 0.500 0.925
Pd 0.000 0.500 0.670
Pd 0.500 0.000 0.170

Computed properties:
Space-group type ... Imm2, No. 44
Energy of formation ... -0.926 eV per atom


(11)
Density functional theory data (r²SCAN) for an optimized crystal structure of InI3O9.

abc: 7.393 7.393 7.393
angles: 82.55 82.55 82.55
Element x y z (fractional)
In 0.178 0.178 0.178
In 0.822 0.822 0.822
I 0.128 0.716 0.415
I 0.284 0.585 0.872
I 0.415 0.128 0.716
I 0.585 0.872 0.284
I 0.716 0.415 0.128
I 0.872 0.284 0.585
O 0.052 0.936 0.294
O 0.064 0.706 0.948
O 0.084 0.301 0.429
O 0.214 0.426 0.733
O 0.267 0.786 0.574
O 0.294 0.052 0.936
O 0.301 0.429 0.084
O 0.426 0.733 0.214
O 0.429 0.084 0.301
O 0.571 0.916 0.699
O 0.574 0.267 0.786
O 0.699 0.571 0.916
O 0.706 0.948 0.064
O 0.733 0.214 0.426
O 0.786 0.574 0.267
O 0.916 0.699 0.571
O 0.936 0.294 0.052
O 0.948 0.064 0.706

Computed properties:
Space-group type ... R-3, No. 148
Energy of formation ... -0.645 eV per atom


(12)
Density functional theory data (r²SCAN) for an optimized crystal structure of Yb2ZnIn.

abc: 7.172 7.172 7.172
angles: 90.00 90.00 90.00
Element x y z (fractional)
Yb 0.250 0.250 0.250
Yb 0.250 0.250 0.750
Yb 0.250 0.750 0.250
Yb 0.250 0.750 0.750
Yb 0.750 0.250 0.250
Yb 0.750 0.250 0.750
Yb 0.750 0.750 0.250
Yb 0.750 0.750 0.750
Zn 0.000 0.000 0.000
Zn 0.000 0.500 0.500
Zn 0.500 0.000 0.500
Zn 0.500 0.500 0.000
In 0.000 0.000 0.500
In 0.000 0.500 0.000
In 0.500 0.000 0.000
In 0.500 0.500 0.500

Computed properties:
Space-group type ... Fm-3m, No. 225
Energy of formation ... -0.471 eV per atom